Compound: Ba2SrWO6
Source: the Materials Project
Functional: GGA+U
Structure: optimized geometry

SG: Fm-3m
Uncorrected energy, eV/cell: -69.05
Energy of formation from the pure elements, eV/atom: -2.94

a = 6.172 Å, b = 6.172 Å, c = 6.172 Å
α = 60.00°, β = 60.00°, γ = 60.00°
Fractional positions:
O (0.276, 0.276, 0.724)
Ba (0.250, 0.250, 0.250)
O (0.724, 0.724, 0.276)
W (0.500, 0.500, 0.500)
Ba (0.750, 0.750, 0.750)
O (0.724, 0.276, 0.276)
O (0.724, 0.276, 0.724)
O (0.276, 0.724, 0.276)
Sr (0.000, 0.000, 0.000)
O (0.276, 0.724, 0.724)

Compound: Ba3SrZn2W2O12
Source: the Materials Project
Functional: GGA+U
Structure: optimized geometry

SG: R3m
Uncorrected energy, eV/cell: -131.21
Energy of formation from the pure elements, eV/atom: -2.65

a = 10.061 Å, b = 10.061 Å, c = 10.061 Å
α = 33.57°, β = 33.57°, γ = 33.57°
Fractional positions:
O (0.879, 0.879, 0.359)
O (0.142, 0.619, 0.619)
Ba (0.375, 0.375, 0.375)
O (0.382, 0.382, 0.857)
Zn (0.750, 0.750, 0.750)
Ba (0.875, 0.875, 0.875)
W (0.500, 0.500, 0.500)
O (0.879, 0.359, 0.879)
W (0.000, 0.000, 0.000)
O (0.619, 0.619, 0.142)
Sr (0.625, 0.625, 0.625)
O (0.359, 0.879, 0.879)
Ba (0.125, 0.125, 0.125)
O (0.382, 0.857, 0.382)
O (0.641, 0.119, 0.119)
O (0.857, 0.382, 0.382)
O (0.119, 0.119, 0.641)
O (0.119, 0.641, 0.119)
Zn (0.250, 0.250, 0.250)
O (0.619, 0.142, 0.619)

Compound: Ba2TbV3O11
Source: the Materials Project
Functional: GGA+U
Structure: optimized geometry

SG: P2_1/c
Uncorrected energy, eV/cell: -514.39
Energy of formation from the pure elements, eV/atom: -3.01

a = 7.798 Å, b = 12.425 Å, c = 11.340 Å
α = 103.30°, β = 90.00°, γ = 90.00°
Fractional positions:
O (0.526, 0.884, 0.475)
O (0.941, 0.370, 0.219)
Ba (0.252, 0.446, 0.111)
O (0.643, 0.787, 0.947)
V (0.980, 0.684, 0.173)
Ba (0.752, 0.554, 0.389)
Tb (0.498, 0.003, 0.286)
O (0.720, 0.984, 0.864)
O (0.560, 0.391, 0.231)
O (0.059, 0.630, 0.781)
O (0.143, 0.213, 0.553)
V (0.519, 0.688, 0.171)
O (0.783, 0.987, 0.626)
O (0.780, 0.984, 0.364)
O (0.450, 0.824, 0.195)
V (0.019, 0.312, 0.329)
O (0.217, 0.013, 0.374)
O (0.554, 0.180, 0.283)
O (0.026, 0.116, 0.025)
O (0.550, 0.176, 0.805)
Tb (0.002, 0.003, 0.786)
O (0.220, 0.016, 0.636)
O (0.436, 0.614, 0.039)
V (0.480, 0.316, 0.327)
Ba (0.748, 0.554, 0.889)
O (0.064, 0.614, 0.539)
O (0.474, 0.116, 0.525)
O (0.944, 0.376, 0.967)
V (0.520, 0.684, 0.673)
O (0.056, 0.624, 0.033)
O (0.054, 0.820, 0.217)
O (0.250, 0.335, 0.333)
Tb (0.998, 0.997, 0.214)
O (0.559, 0.370, 0.719)
O (0.444, 0.624, 0.533)
Ba (0.775, 0.230, 0.558)
O (0.750, 0.665, 0.667)
O (0.950, 0.176, 0.305)
O (0.440, 0.609, 0.769)
O (0.050, 0.824, 0.695)
O (0.974, 0.884, 0.975)
Ba (0.725, 0.230, 0.058)
O (0.936, 0.386, 0.461)
O (0.564, 0.386, 0.961)
Tb (0.502, 0.997, 0.714)
Ba (0.275, 0.770, 0.942)
O (0.750, 0.665, 0.167)
O (0.556, 0.376, 0.467)
V (0.255, 0.093, 0.523)
V (0.245, 0.093, 0.023)
V (0.020, 0.316, 0.827)
V (0.745, 0.907, 0.477)
O (0.357, 0.213, 0.053)
O (0.717, 0.987, 0.126)
O (0.283, 0.013, 0.874)
O (0.441, 0.630, 0.281)
O (0.280, 0.016, 0.136)
O (0.857, 0.787, 0.447)
O (0.060, 0.609, 0.269)
V (0.755, 0.907, 0.977)
O (0.940, 0.391, 0.731)
O (0.946, 0.180, 0.783)
V (0.981, 0.688, 0.671)
Ba (0.225, 0.770, 0.442)
Ba (0.248, 0.446, 0.611)
O (0.446, 0.820, 0.717)
O (0.250, 0.335, 0.833)
V (0.481, 0.312, 0.829)

Compound: Ba2TbWO6
Source: the Materials Project
Functional: GGA+U
Structure: optimized geometry

SG: C2/m
Uncorrected energy, eV/cell: -73.97
Energy of formation from the pure elements, eV/atom: -3.14

a = 6.030 Å, b = 6.030 Å, c = 6.085 Å
α = 59.67°, β = 59.67°, γ = 60.57°
Fractional positions:
O (0.769, 0.769, 0.202)
Ba (0.249, 0.249, 0.256)
O (0.221, 0.745, 0.255)
O (0.255, 0.779, 0.745)
O (0.779, 0.255, 0.745)
Tb (0.500, 0.500, 0.500)
W (0.000, 0.000, 0.000)
O (0.745, 0.221, 0.255)
O (0.231, 0.231, 0.798)
Ba (0.751, 0.751, 0.744)

Compound: Ba2TbWO6
Source: the Materials Project
Functional: GGA+U
Structure: optimized geometry

SG: Pn-3
Uncorrected energy, eV/cell: -295.59
Energy of formation from the pure elements, eV/atom: -3.13

a = 8.551 Å, b = 8.551 Å, c = 8.551 Å
α = 90.00°, β = 90.00°, γ = 90.00°
Fractional positions:
O (0.486, 0.238, 0.258)
Ba (0.000, 0.500, 0.500)
Tb (0.750, 0.750, 0.750)
O (0.742, 0.486, 0.762)
O (0.242, 0.014, 0.262)
O (0.762, 0.258, 0.514)
O (0.738, 0.758, 0.014)
O (0.758, 0.014, 0.738)
O (0.738, 0.242, 0.986)
Ba (0.500, 0.000, 0.500)
O (0.258, 0.514, 0.762)
O (0.762, 0.742, 0.486)
O (0.986, 0.738, 0.242)
Ba (0.000, 0.500, 0.000)
O (0.758, 0.986, 0.262)
Tb (0.250, 0.750, 0.250)
W (0.250, 0.250, 0.250)
O (0.262, 0.242, 0.014)
O (0.242, 0.986, 0.738)
O (0.014, 0.738, 0.758)
O (0.514, 0.238, 0.742)
Ba (0.000, 0.000, 0.500)
O (0.258, 0.486, 0.238)
Ba (0.000, 0.000, 0.000)
O (0.238, 0.742, 0.514)
O (0.238, 0.258, 0.486)
Ba (0.500, 0.500, 0.000)
O (0.486, 0.762, 0.742)
O (0.014, 0.262, 0.242)
Ba (0.500, 0.000, 0.000)
O (0.742, 0.514, 0.238)
W (0.250, 0.750, 0.750)
Tb (0.250, 0.250, 0.750)
W (0.750, 0.250, 0.750)
O (0.514, 0.762, 0.258)
O (0.986, 0.262, 0.758)
Tb (0.750, 0.250, 0.250)
Ba (0.500, 0.500, 0.500)
O (0.262, 0.758, 0.986)
W (0.750, 0.750, 0.250)

Compound: Ba2TbWO6
Source: the Materials Project
Functional: GGA+U
Structure: optimized geometry

SG: Fm-3m
Uncorrected energy, eV/cell: -73.28
Energy of formation from the pure elements, eV/atom: -3.07

a = 6.041 Å, b = 6.041 Å, c = 6.041 Å
α = 60.00°, β = 60.00°, γ = 60.00°
Fractional positions:
O (0.735, 0.265, 0.735)
Ba (0.250, 0.250, 0.250)
O (0.265, 0.265, 0.735)
O (0.265, 0.735, 0.265)
Tb (0.000, 0.000, 0.000)
O (0.735, 0.265, 0.265)
O (0.265, 0.735, 0.735)
Ba (0.750, 0.750, 0.750)
O (0.735, 0.735, 0.265)
W (0.500, 0.500, 0.500)

Compound: BaV2TeO8
Source: the Materials Project
Functional: GGA+U
Structure: optimized geometry

SG: P2_1/c
Uncorrected energy, eV/cell: -330.87
Energy of formation from the pure elements, eV/atom: -2.40

a = 5.695 Å, b = 9.897 Å, c = 14.645 Å
α = 67.58°, β = 90.00°, γ = 90.00°
Fractional positions:
Ba (0.687, 0.245, 0.163)
O (0.900, 0.395, 0.441)
O (0.950, 0.876, 0.047)
O (0.827, 0.664, 0.824)
V (0.159, 0.995, 0.087)
V (0.652, 0.481, 0.363)
O (0.134, 0.566, 0.236)
O (0.491, 0.013, 0.680)
O (0.136, 0.863, 0.639)
O (0.119, 0.424, 0.935)
V (0.659, 0.005, 0.413)
O (0.009, 0.013, 0.180)
Te (0.663, 0.716, 0.091)
O (0.450, 0.124, 0.453)
O (0.509, 0.987, 0.320)
V (0.341, 0.995, 0.587)
V (0.152, 0.519, 0.137)
Te (0.163, 0.284, 0.409)
O (0.636, 0.137, 0.861)
O (0.100, 0.605, 0.559)
O (0.050, 0.124, 0.953)
O (0.600, 0.395, 0.941)
O (0.634, 0.434, 0.264)
O (0.881, 0.576, 0.065)
O (0.364, 0.863, 0.139)
O (0.550, 0.876, 0.547)
O (0.327, 0.336, 0.676)
Ba (0.187, 0.755, 0.337)
O (0.864, 0.137, 0.361)
O (0.866, 0.434, 0.764)
O (0.673, 0.664, 0.324)
V (0.841, 0.005, 0.913)
O (0.366, 0.566, 0.736)
Ba (0.313, 0.755, 0.837)
O (0.615, 0.843, 0.955)
V (0.848, 0.481, 0.863)
Te (0.837, 0.716, 0.591)
V (0.348, 0.519, 0.637)
O (0.885, 0.843, 0.455)
O (0.385, 0.157, 0.045)
O (0.173, 0.336, 0.176)
O (0.619, 0.576, 0.565)
Te (0.337, 0.284, 0.909)
O (0.400, 0.605, 0.059)
O (0.115, 0.157, 0.545)
O (0.991, 0.987, 0.820)
O (0.381, 0.424, 0.435)
Ba (0.813, 0.245, 0.663)

Compound: BaTeW2O9
Source: the Materials Project
Functional: GGA+U
Structure: optimized geometry

SG: P2_1
Largest piezoelectric modulus, C/m²: 0.82
Uncorrected energy, eV/cell: -179.85
Energy of formation from the pure elements, eV/atom: -2.27

a = 7.607 Å, b = 5.611 Å, c = 9.068 Å
α = 89.98°, β = 90.00°, γ = 90.00°
Fractional positions:
O (0.976, 0.225, 0.588)
O (0.441, 0.559, 0.122)
O (0.084, 0.471, 0.179)
O (0.508, 0.045, 0.143)
Te (0.363, 0.628, 0.900)
W (0.619, 0.781, 0.255)
Te (0.863, 0.372, 0.100)
W (0.802, 0.759, 0.824)
Ba (0.608, 0.242, 0.560)
O (0.476, 0.775, 0.412)
O (0.790, 0.972, 0.325)
O (0.278, 0.303, 0.944)
O (0.941, 0.441, 0.878)
Ba (0.108, 0.758, 0.440)
W (0.302, 0.241, 0.176)
O (0.242, 0.519, 0.705)
O (0.650, 0.002, 0.829)
O (0.008, 0.955, 0.857)
O (0.290, 0.028, 0.675)
W (0.119, 0.219, 0.745)
O (0.829, 0.707, 0.629)
O (0.584, 0.529, 0.821)
O (0.778, 0.697, 0.056)
O (0.742, 0.481, 0.295)
O (0.150, 0.998, 0.171)
O (0.329, 0.293, 0.371)

Compound: BaTlV2O6
Source: the Materials Project
Functional: GGA+U
Structure: optimized geometry

SG: P1
Uncorrected energy, eV/cell: -129.94
Energy of formation from the pure elements, eV/atom: -2.04

a = 3.388 Å, b = 3.458 Å, c = 26.939 Å
α = 93.52°, β = 93.44°, γ = 90.03°
Fractional positions:
O (0.523, 0.056, 0.059)
O (0.399, 0.932, 0.814)
Ba (0.166, 0.154, 0.327)
Tl (0.722, 0.727, 0.447)
O (0.051, 0.576, 0.115)
V (0.536, 0.569, 0.085)
O (0.226, 0.232, 0.456)
O (0.683, 0.673, 0.363)
V (0.363, 0.422, 0.791)
O (0.969, 0.414, 0.886)
O (0.598, 0.081, 0.185)
O (0.852, 0.405, 0.753)
V (0.484, 0.417, 0.916)
O (0.497, 0.930, 0.942)
O (0.129, 0.610, 0.247)
Tl (0.271, 0.289, 0.552)
Ba (0.825, 0.864, 0.673)
O (0.309, 0.345, 0.636)
O (0.765, 0.782, 0.539)
V (0.613, 0.592, 0.208)

Compound: Ba2YTlV2O7
Source: the Materials Project
Functional: GGA+U
Structure: optimized geometry

SG: P4/mmm
Uncorrected energy, eV/cell: -90.95
Energy of formation from the pure elements, eV/atom: -2.59

a = 3.968 Å, b = 3.968 Å, c = 13.393 Å
α = 90.00°, β = 90.00°, γ = 90.00°
Fractional positions:
Y (0.500, 0.500, 0.500)
V (0.000, 0.000, 0.358)
O (0.000, 0.000, 0.784)
O (0.000, 0.500, 0.604)
Ba (0.500, 0.500, 0.810)
O (0.500, 0.000, 0.396)
Ba (0.500, 0.500, 0.190)
O (0.000, 0.500, 0.396)
V (0.000, 0.000, 0.642)
O (0.500, 0.500, 0.000)
O (0.500, 0.000, 0.604)
O (0.000, 0.000, 0.216)
Tl (0.000, 0.000, 0.000)

Compound: Ba2TlW2O7
Source: the Materials Project
Functional: GGA+U
Structure: optimized geometry

SG: P4/mmm
Uncorrected energy, eV/cell: -77.55
Energy of formation from the pure elements, eV/atom: -2.04

a = 3.976 Å, b = 3.976 Å, c = 13.094 Å
α = 90.00°, β = 90.00°, γ = 90.00°
Fractional positions:
O (0.000, 0.500, 0.126)
O (0.000, 0.500, 0.874)
O (0.000, 0.000, 0.715)
O (0.500, 0.000, 0.126)
O (0.000, 0.000, 0.285)
Ba (0.500, 0.500, 0.304)
O (0.500, 0.500, 0.500)
Ba (0.500, 0.500, 0.696)
W (0.000, 0.000, 0.129)
W (0.000, 0.000, 0.871)
Tl (0.000, 0.000, 0.500)
O (0.500, 0.000, 0.874)

Compound: BaTlW2O6
Source: the Materials Project
Functional: GGA+U
Structure: optimized geometry

SG: P1
Uncorrected energy, eV/cell: -129.49
Energy of formation from the pure elements, eV/atom: -1.79

a = 3.891 Å, b = 3.892 Å, c = 22.763 Å
α = 94.86°, β = 94.86°, γ = 90.11°
Fractional positions:
Tl (0.272, 0.266, 0.548)
W (0.458, 0.460, 0.919)
W (0.614, 0.608, 0.215)
O (0.114, 0.607, 0.215)
O (0.615, 0.107, 0.215)
O (0.347, 0.350, 0.696)
O (0.389, 0.893, 0.785)
O (0.659, 0.652, 0.304)
Ba (0.836, 0.838, 0.673)
O (0.211, 0.227, 0.440)
O (0.542, 0.041, 0.081)
Ba (0.169, 0.163, 0.327)
O (0.459, 0.961, 0.921)
O (0.958, 0.461, 0.920)
W (0.391, 0.394, 0.785)
W (0.544, 0.541, 0.082)
Tl (0.725, 0.718, 0.451)
O (0.772, 0.791, 0.559)
O (0.891, 0.393, 0.786)
O (0.042, 0.540, 0.079)